Record 1
Entry from Materials Project: an optimized crystal structure of EuFe4Cu3O12 (GGA+U).

Cell: 6.491 6.491 6.491 Å, 109.47 109.47 109.47°
Atoms (fractional coordinates):
O: 0.688 0.833 0.522
O: 0.688 0.167 0.855
O: 0.312 0.167 0.478
O: 0.833 0.522 0.688
O: 0.855 0.688 0.167
O: 0.312 0.833 0.145
O: 0.478 0.312 0.167
O: 0.167 0.855 0.688
O: 0.833 0.145 0.312
O: 0.167 0.478 0.312
O: 0.145 0.312 0.833
O: 0.522 0.688 0.833
Eu: 0.000 0.000 0.000
Fe: 0.500 0.500 0.500
Fe: 0.000 0.000 0.500
Fe: 0.500 0.000 0.000
Fe: 0.000 0.500 0.000
Cu: 0.500 0.000 0.500
Cu: 0.000 0.500 0.500
Cu: 0.500 0.500 0.000

As for the crystal system: cubic.

---

Record 2
Entry from Materials Project: an optimized crystal structure of Li9Mn2Co5O16 (GGA+U).

Cell: 5.116 7.646 7.822 Å, 97.97 101.73 103.22°
Atoms (fractional coordinates):
Li: 0.498 0.748 0.741
Li: 0.502 0.254 0.250
Li: 0.003 0.872 0.623
Li: 0.500 0.377 0.627
Li: 0.497 0.993 0.508
Li: 0.498 0.873 0.125
Li: 0.496 0.121 0.868
Li: 0.508 0.628 0.382
Li: 0.502 0.505 0.002
Mn: 0.997 0.997 0.996
Mn: 0.009 0.249 0.749
O: 0.211 0.373 0.377
O: 0.223 0.871 0.886
O: 0.232 0.134 0.627
O: 0.780 0.130 0.120
O: 0.764 0.763 0.997
O: 0.225 0.002 0.233
O: 0.768 0.885 0.367
O: 0.778 0.613 0.622
O: 0.225 0.237 0.985
O: 0.223 0.617 0.126
O: 0.242 0.489 0.758
O: 0.777 0.013 0.765
O: 0.783 0.377 0.873
O: 0.781 0.256 0.521
O: 0.230 0.737 0.490
O: 0.752 0.501 0.245
Co: 0.999 0.628 0.867
Co: 0.001 0.504 0.504
Co: 0.002 0.121 0.381
Co: 0.998 0.749 0.257
Co: 0.995 0.381 0.127

As for the crystal system: triclinic. The distance to the lowest polymorph of the same formula comes out at 27.0 meV per atom.

---

Record 3
Entry from Materials Project: an optimized crystal structure of V3OF11 (GGA+U).

Cell: 7.326 5.990 5.429 Å, 97.52 99.25 94.55°
Atoms (fractional coordinates):
F: 0.546 0.254 0.401
F: 0.372 0.523 0.155
F: 0.886 0.223 0.105
F: 0.636 0.459 0.866
F: 0.874 0.036 0.724
F: 0.128 0.796 0.878
F: 0.865 0.558 0.290
F: 0.467 0.714 0.579
F: 0.071 0.959 0.263
F: 0.140 0.454 0.733
F: 0.617 0.824 0.007
V: 0.626 0.371 0.170
V: 0.396 0.634 0.840
V: 0.058 0.029 0.988
O: 0.332 0.160 0.983

As for the crystal system: triclinic. The distance to the lowest polymorph of the same formula comes out at 647.5 meV per atom.

---

Record 4
Entry from Materials Project: an optimized crystal structure of MgTiVO4 (GGA+U).

Cell: 3.027 5.338 5.338 Å, 74.19 90.00 90.00°
Atoms (fractional coordinates):
O: 0.000 0.649 0.649
O: 0.000 0.324 0.324
O: 0.500 0.184 0.794
O: 0.500 0.794 0.184
Ti: 0.500 0.467 0.467
V: 0.000 0.085 0.085
Mg: 0.500 0.798 0.798

As for the crystal system: orthorhombic. The distance to the lowest polymorph of the same formula comes out at 198.1 meV per atom.

---

Record 5
Entry from Materials Project: an optimized crystal structure of Li2MnP2O7 (GGA+U).

Cell: 7.115 8.663 10.219 Å, 92.88 108.96 95.00°
Atoms (fractional coordinates):
Li: 0.626 0.851 0.293
Li: 0.927 0.400 0.528
Li: 0.927 0.400 0.028
Li: 0.337 0.677 0.508
Li: 0.337 0.677 0.008
Li: 0.376 0.156 0.210
Li: 0.376 0.155 0.710
Li: 0.626 0.851 0.793
O: 0.364 0.703 0.299
O: 0.629 0.286 0.211
O: 0.629 0.686 0.651
O: 0.140 0.820 0.410
O: 0.211 0.945 0.203
O: 0.140 0.820 0.910
O: 0.629 0.287 0.711
O: 0.985 0.321 0.356
O: 0.799 0.047 0.292
O: 0.764 0.841 0.492
O: 0.892 0.201 0.108
O: 0.799 0.047 0.792
O: 0.329 0.327 0.826
O: 0.892 0.201 0.608
O: 0.248 0.167 0.507
O: 0.247 0.167 0.007
O: 0.731 0.544 0.464
O: 0.211 0.945 0.703
O: 0.764 0.841 0.992
O: 0.364 0.703 0.799
O: 0.731 0.544 0.964
O: 0.629 0.686 0.151
O: 0.997 0.681 0.666
O: 0.997 0.681 0.166
O: 0.269 0.462 0.539
O: 0.329 0.327 0.326
O: 0.985 0.321 0.856
O: 0.270 0.462 0.039
P: 0.184 0.798 0.274
P: 0.771 0.691 0.563
P: 0.816 0.204 0.232
P: 0.771 0.691 0.063
P: 0.227 0.318 0.935
P: 0.816 0.204 0.732
P: 0.227 0.318 0.435
P: 0.184 0.798 0.774
Mn: 0.005 0.005 0.001
Mn: 0.507 0.495 0.255
Mn: 0.005 0.005 0.500
Mn: 0.507 0.495 0.754

The distance to the lowest polymorph of the same formula comes out at 18.1 meV per atom.

---

Record 6
Entry from Materials Project: an optimized crystal structure of MnCo3O8 (GGA+U).

Cell: 5.752 5.752 5.752 Å, 59.65 59.65 59.65°
Atoms (fractional coordinates):
O: 0.267 0.267 0.267
O: 0.273 0.763 0.763
O: 0.763 0.763 0.273
O: 0.763 0.273 0.763
O: 0.237 0.237 0.727
O: 0.733 0.733 0.733
O: 0.727 0.237 0.237
O: 0.237 0.727 0.237
Co: 0.500 0.500 0.000
Co: 0.500 0.000 0.500
Co: 0.000 0.500 0.500
Mn: 0.000 0.000 0.000

As for the crystal system: trigonal. The distance to the lowest polymorph of the same formula comes out at 0.0 meV per atom.

---

ΔH_f (0 K) (computed, kJ/mol of formula units): -3008; -5672; -3256; -1831; -3072; -1436